# 1
This record from the Materials Project describes an optimized crystal structure of KSrLaSeO6. The functional is PBE.

Its total energy is -243.720 eV for the cell shown.

It has space group F-43m (No. 216), with a = 8.3387 Å, b = 8.3387 Å, c = 8.3387 Å, α = 90.00°, β = 90.00° and γ = 90.00°. The inequivalent atoms are K at (0.0000, 0.0000, 0.0000), Sr at (0.0000, 0.0000, 0.5000), La at (0.2500, 0.2500, 0.7500), Se at (0.2500, 0.2500, 0.2500) and O at (0.0297, 0.2500, 0.2500).

# 2
This record from the Materials Project describes an optimized crystal structure of Zr21Re25. The functional is PBE.

Its total energy is -3039.980 eV for the cell shown.

It has space group R-3c (No. 167, hexagonal axes), with a = 25.9667 Å, b = 25.9667 Å, c = 8.8197 Å, α = 90.00°, β = 90.00° and γ = 120.00°. The inequivalent atoms are Zr at (0.9997, 0.1153, 0.0650), Zr at (0.0000, 0.3044, 0.2500), Zr at (0.0023, 0.2305, 0.5458), Zr at (0.0195, 0.4626, 0.4183), Re at (0.0000, 0.0000, 0.0000), Re at (0.0000, 0.0607, 0.7500), Re at (0.0000, 0.4447, 0.7500), Re at (0.0582, 0.1777, 0.7478), Re at (0.0586, 0.2341, 0.2524) and Re at (0.0987, 0.5476, 0.6657).

# 3
This record from the Materials Project describes an optimized crystal structure of Rb2CdI4. The functional is PBE.

Its total energy is -33.890 eV for the cell shown.

It has space group P2_1/m (No. 11), with a = 8.4243 Å, b = 8.5847 Å, c = 10.3056 Å, α = 90.00°, β = 108.16° and γ = 90.00°. The inequivalent atoms are Rb at (0.2180, 0.2500, 0.0514), Rb at (0.2611, 0.2500, 0.5670), Cd at (0.2255, 0.7500, 0.7995), I at (0.9997, 0.0053, 0.7384), I at (0.4085, 0.7500, 0.0801) and I at (0.4278, 0.7500, 0.6267).

# 4
This record from the Materials Project describes an optimized crystal structure of SrSi2. The functional is PBE.

Its total energy is -54.549 eV for the cell shown.

It has space group I4_1/amd (No. 141, origin choice 2), with a = 4.4377 Å, b = 4.4377 Å, c = 13.9661 Å, α = 90.00°, β = 90.00° and γ = 90.00°. The inequivalent atoms are Sr at (0.0000, 0.2500, 0.3750) and Si at (0.0000, 0.2500, 0.7918).

# 5
This record from the Materials Project describes an optimized crystal structure of Lu3In. The functional is PBE.

Its total energy is -17.291 eV for the cell shown.

It has space group Pm-3m (No. 221), with a = 4.7569 Å, b = 4.7569 Å, c = 4.7569 Å, α = 90.00°, β = 90.00° and γ = 90.00°. The inequivalent atoms are Lu at (0.0000, 0.0000, 0.5000) and In at (0.5000, 0.5000, 0.5000).

# 6
This record from the Materials Project describes an optimized crystal structure of Hf3Cu8. The functional is PBE.

Its total energy is -257.988 eV for the cell shown.

It has space group Pnma (No. 62), with a = 7.8192 Å, b = 8.1244 Å, c = 9.9362 Å, α = 90.00°, β = 90.00° and γ = 90.00°. The inequivalent atoms are Hf at (0.0390, 0.2500, 0.0471), Hf at (0.0620, 0.5542, 0.6400), Cu at (0.1165, 0.7500, 0.4038), Cu at (0.1213, 0.5750, 0.1599), Cu at (0.1294, 0.2500, 0.7654), Cu at (0.1770, 0.2500, 0.5168), Cu at (0.1984, 0.9997, 0.9068) and Cu at (0.2155, 0.2500, 0.2728).

Number 1: E_form -2.413 eV per atom. Number 2: E_form -0.349 eV per atom. Number 3: E_form -1.354 eV per atom. Number 4: E_form -0.318 eV per atom. Number 5: E_form -0.244 eV per atom. Number 6: E_form -0.167 eV per atom.